{
  "formula": "Li4Ni5P6O22",
  "functional": "GGA+U",
  "state": "relaxed",
  "cell": [[12.536, 0.000, 0.000], [0.000, 6.531, 0.000], [-2.545, 0.000, 10.238]],
  "species": ["Li", "Li", "Li", "Li", "Li", "Li", "Li", "Li", "Ni", "Ni", "Ni", "Ni", "Ni", "Ni", "Ni", "Ni", "Ni", "Ni", "P", "P", "P", "P", "P", "P", "P", "P", "P", "P", "P", "P", "O", "O", "O", "O", "O", "O", "O", "O", "O", "O", "O", "O", "O", "O", "O", "O", "O", "O", "O", "O", "O", "O", "O", "O", "O", "O", "O", "O", "O", "O", "O", "O", "O", "O", "O", "O", "O", "O", "O", "O", "O", "O", "O", "O"],
  "fractional_positions": [[0.156, 0.024, 0.127], [0.156, 0.476, 0.627], [0.322, 0.621, 0.445], [0.322, 0.879, 0.945], [0.678, 0.121, 0.055], [0.678, 0.379, 0.555], [0.844, 0.524, 0.373], [0.844, 0.976, 0.873], [0.166, 0.012, 0.696], [0.166, 0.488, 0.196], [0.367, 0.240, 0.719], [0.367, 0.260, 0.219], [0.500, 0.000, 0.500], [0.500, 0.500, 0.000], [0.633, 0.740, 0.781], [0.633, 0.760, 0.281], [0.834, 0.512, 0.804], [0.834, 0.988, 0.304], [0.082, 0.718, 0.914], [0.082, 0.782, 0.414], [0.241, 0.105, 0.434], [0.241, 0.395, 0.934], [0.413, 0.734, 0.724], [0.413, 0.766, 0.224], [0.587, 0.234, 0.776], [0.587, 0.266, 0.276], [0.759, 0.605, 0.066], [0.759, 0.895, 0.566], [0.918, 0.218, 0.586], [0.918, 0.282, 0.086], [0.041, 0.223, 0.648], [0.041, 0.277, 0.148], [0.113, 0.723, 0.065], [0.113, 0.777, 0.565], [0.124, 0.002, 0.368], [0.124, 0.498, 0.868], [0.148, 0.617, 0.364], [0.148, 0.883, 0.864], [0.229, 0.204, 0.563], [0.229, 0.296, 0.063], [0.256, 0.233, 0.834], [0.256, 0.267, 0.334], [0.329, 0.559, 0.955], [0.329, 0.941, 0.455], [0.339, 0.549, 0.669], [0.339, 0.951, 0.169], [0.340, 0.582, 0.243], [0.340, 0.918, 0.743], [0.494, 0.727, 0.133], [0.494, 0.773, 0.633], [0.500, 0.202, 0.642], [0.500, 0.298, 0.142], [0.500, 0.702, 0.858], [0.500, 0.798, 0.358], [0.506, 0.227, 0.367], [0.506, 0.273, 0.867], [0.660, 0.082, 0.257], [0.660, 0.418, 0.757], [0.661, 0.049, 0.831], [0.661, 0.451, 0.331], [0.671, 0.059, 0.545], [0.671, 0.441, 0.045], [0.744, 0.733, 0.666], [0.744, 0.767, 0.166], [0.771, 0.704, 0.937], [0.771, 0.796, 0.437], [0.852, 0.117, 0.136], [0.852, 0.383, 0.636], [0.876, 0.502, 0.132], [0.876, 0.998, 0.632], [0.887, 0.223, 0.435], [0.887, 0.277, 0.935], [0.959, 0.723, 0.852], [0.959, 0.777, 0.352]],
  "ef_ev_per_atom": -2.35,
  "magmom_total_mub_per_cell": 20.001
}